[1]
VASP calculation (r2SCAN) on a geometry-optimized Zr5SnPb3 structure.

Symmetry: P6_3/mcm (193)
Energy in eV/cell: -622.956
Magnetic moment in μB per formula unit: 0.0

a = 8.9314 Å, b = 8.9314 Å, c = 6.0138 Å
α = 90.00°, β = 90.00°, γ = 120.00°
Element x y z (fractional)
1 Zr 0.0000 0.2781 0.2500
2 Zr 0.0000 0.7219 0.7500
3 Zr 0.2781 0.0000 0.2500
4 Zr 0.2781 0.2781 0.7500
5 Zr 0.3333 0.6667 0.0000
6 Zr 0.3333 0.6667 0.5000
7 Zr 0.6667 0.3333 0.0000
8 Zr 0.6667 0.3333 0.5000
9 Zr 0.7219 0.0000 0.7500
10 Zr 0.7219 0.7219 0.2500
11 Sn 0.0000 0.0000 0.0000
12 Sn 0.0000 0.0000 0.5000
13 Pb 0.0000 0.3864 0.7500
14 Pb 0.0000 0.6136 0.2500
15 Pb 0.3864 0.0000 0.7500
16 Pb 0.3864 0.3864 0.2500
17 Pb 0.6136 0.0000 0.2500
18 Pb 0.6136 0.6136 0.7500

[2]
VASP calculation (r2SCAN) on a geometry-optimized Tb5Pb3 structure.

Symmetry: P6_3/mcm (193)
Energy in eV/cell: -661.624
Magnetic moment in μB per formula unit: 0.0

a = 9.0480 Å, b = 9.0480 Å, c = 6.6678 Å
α = 90.00°, β = 90.00°, γ = 120.00°
Element x y z (fractional)
1 Tb 0.0000 0.2381 0.2500
2 Tb 0.0000 0.7619 0.7500
3 Tb 0.2381 0.0000 0.2500
4 Tb 0.2381 0.2381 0.7500
5 Tb 0.3333 0.6667 0.0000
6 Tb 0.3333 0.6667 0.5000
7 Tb 0.6667 0.3333 0.0000
8 Tb 0.6667 0.3333 0.5000
9 Tb 0.7619 0.0000 0.7500
10 Tb 0.7619 0.7619 0.2500
11 Pb 0.0000 0.3937 0.7500
12 Pb 0.0000 0.6063 0.2500
13 Pb 0.3937 0.0000 0.7500
14 Pb 0.3937 0.3937 0.2500
15 Pb 0.6063 0.0000 0.2500
16 Pb 0.6063 0.6063 0.7500

[3]
VASP calculation (r2SCAN) on a geometry-optimized TePb structure.

Symmetry: Pnma (62)
Energy in eV/cell: -330.401
Magnetic moment in μB per formula unit: 0.0

a = 8.4999 Å, b = 4.6485 Å, c = 7.0684 Å
α = 90.00°, β = 90.00°, γ = 90.00°
Element x y z (fractional)
1 Te 0.1899 0.2500 0.1201
2 Te 0.3101 0.7500 0.6201
3 Te 0.6899 0.2500 0.3799
4 Te 0.8101 0.7500 0.8799
5 Pb 0.0408 0.2500 0.7289
6 Pb 0.4592 0.7500 0.2289
7 Pb 0.5408 0.2500 0.7711
8 Pb 0.9592 0.7500 0.2711

[4]
VASP calculation (r2SCAN) on a geometry-optimized TePb structure.

Symmetry: Fm-3m (225)
Energy in eV/cell: -82.710
Magnetic moment in μB per formula unit: 0.0

a = 4.6257 Å, b = 4.6257 Å, c = 4.6257 Å
α = 60.00°, β = 60.00°, γ = 60.00°
Element x y z (fractional)
1 Te 0.0000 0.0000 0.0000
2 Pb 0.5000 0.5000 0.5000

[5]
VASP calculation (r2SCAN) on a geometry-optimized Zr5TePb3 structure.

Symmetry: P6_3/mcm (193)
Energy in eV/cell: -624.919
Magnetic moment in μB per formula unit: 0.0

a = 8.8463 Å, b = 8.8463 Å, c = 6.1830 Å
α = 90.00°, β = 90.00°, γ = 120.00°
Element x y z (fractional)
1 Zr 0.0000 0.2774 0.2500
2 Zr 0.0000 0.7226 0.7500
3 Zr 0.2774 0.0000 0.2500
4 Zr 0.2774 0.2774 0.7500
5 Zr 0.3333 0.6667 0.0000
6 Zr 0.3333 0.6667 0.5000
7 Zr 0.6667 0.3333 0.0000
8 Zr 0.6667 0.3333 0.5000
9 Zr 0.7226 0.0000 0.7500
10 Zr 0.7226 0.7226 0.2500
11 Te 0.0000 0.0000 0.0000
12 Te 0.0000 0.0000 0.5000
13 Pb 0.0000 0.3888 0.7500
14 Pb 0.0000 0.6112 0.2500
15 Pb 0.3888 0.0000 0.7500
16 Pb 0.3888 0.3888 0.2500
17 Pb 0.6112 0.0000 0.2500
18 Pb 0.6112 0.6112 0.7500

[6]
VASP calculation (r2SCAN) on a geometry-optimized Ti3Pb structure.

Symmetry: P6_3/mmc (194)
Energy in eV/cell: -191.011
Magnetic moment in μB per formula unit: 0.1

a = 5.9550 Å, b = 5.9550 Å, c = 4.8058 Å
α = 90.00°, β = 90.00°, γ = 120.00°
Element x y z (fractional)
1 Ti 0.1616 0.3233 0.2500
2 Ti 0.1616 0.8384 0.2500
3 Ti 0.3233 0.1616 0.7500
4 Ti 0.6767 0.8384 0.2500
5 Ti 0.8384 0.1616 0.7500
6 Ti 0.8384 0.6767 0.7500
7 Pb 0.3333 0.6667 0.7500
8 Pb 0.6667 0.3333 0.2500

[7]
VASP calculation (r2SCAN) on a geometry-optimized Zr5Ti5Pb6 structure.

Symmetry: Amm2 (38)
Energy in eV/cell: -520.507
Magnetic moment in μB per formula unit: 1.0

a = 5.6570 Å, b = 8.3295 Å, c = 8.3295 Å
α = 118.29°, β = 90.00°, γ = 90.00°
Element x y z (fractional)
1 Zr 0.0000 0.0000 0.0000
2 Zr 0.0000 0.2466 0.4771
3 Zr 0.0000 0.4771 0.2466
4 Zr 0.5000 0.0143 0.2500
5 Zr 0.5000 0.2500 0.0143
6 Ti 0.2506 0.5841 0.9205
7 Ti 0.2506 0.9205 0.5841
8 Ti 0.5000 0.5108 0.5108
9 Ti 0.7494 0.5841 0.9205
10 Ti 0.7494 0.9205 0.5841
11 Pb 0.0000 0.2507 0.8472
12 Pb 0.0000 0.6451 0.6451
13 Pb 0.0000 0.8472 0.2507
14 Pb 0.5000 0.2571 0.6467
15 Pb 0.5000 0.6467 0.2571
16 Pb 0.5000 0.8507 0.8507

[8]
VASP calculation (r2SCAN) on a geometry-optimized Tm3Pb structure.

Symmetry: Pm-3m (221)
Energy in eV/cell: -162.950
Magnetic moment in μB per formula unit: 2.2

a = 4.7952 Å, b = 4.7952 Å, c = 4.7952 Å
α = 90.00°, β = 90.00°, γ = 90.00°
Element x y z (fractional)
1 Tm 0.0000 0.0000 0.5000
2 Tm 0.0000 0.5000 0.0000
3 Tm 0.5000 0.0000 0.0000
4 Pb 0.5000 0.5000 0.5000

[9]
VASP calculation (r2SCAN) on a geometry-optimized YPb3 structure.

Symmetry: Pm-3m (221)
Energy in eV/cell: -190.619
Magnetic moment in μB per formula unit: 0.0

a = 4.8625 Å, b = 4.8625 Å, c = 4.8625 Å
α = 90.00°, β = 90.00°, γ = 90.00°
Element x y z (fractional)
1 Y 0.0000 0.0000 0.0000
2 Pb 0.0000 0.5000 0.5000
3 Pb 0.5000 0.0000 0.5000
4 Pb 0.5000 0.5000 0.0000

[10]
VASP calculation (r2SCAN) on a geometry-optimized Yb2ZnPb structure.

Symmetry: Fm-3m (225)
Energy in eV/cell: -139.780
Magnetic moment in μB per formula unit: 0.0

a = 5.1199 Å, b = 5.1199 Å, c = 5.1199 Å
α = 60.00°, β = 60.00°, γ = 60.00°
Element x y z (fractional)
1 Yb 0.2500 0.2500 0.2500
2 Yb 0.7500 0.7500 0.7500
3 Zn 0.0000 0.0000 0.0000
4 Pb 0.5000 0.5000 0.5000

[11]
VASP calculation (r2SCAN) on a geometry-optimized Zr5ZnPb3 structure.

Symmetry: P6_3/mcm (193)
Energy in eV/cell: -590.907
Magnetic moment in μB per formula unit: 0.0

a = 8.7824 Å, b = 8.7824 Å, c = 5.9381 Å
α = 90.00°, β = 90.00°, γ = 120.00°
Element x y z (fractional)
1 Zr 0.0000 0.2641 0.2500
2 Zr 0.0000 0.7359 0.7500
3 Zr 0.2641 0.0000 0.2500
4 Zr 0.2641 0.2641 0.7500
5 Zr 0.3333 0.6667 0.0000
6 Zr 0.3333 0.6667 0.5000
7 Zr 0.6667 0.3333 0.0000
8 Zr 0.6667 0.3333 0.5000
9 Zr 0.7359 0.0000 0.7500
10 Zr 0.7359 0.7359 0.2500
11 Zn 0.0000 0.0000 0.0000
12 Zn 0.0000 0.0000 0.5000
13 Pb 0.0000 0.3853 0.7500
14 Pb 0.0000 0.6147 0.2500
15 Pb 0.3853 0.0000 0.7500
16 Pb 0.3853 0.3853 0.2500
17 Pb 0.6147 0.0000 0.2500
18 Pb 0.6147 0.6147 0.7500

[12]
VASP calculation (r2SCAN) on a geometry-optimized Pd structure.

Symmetry: Fm-3m (225)
Energy in eV/cell: -22.960
Magnetic moment in μB per formula unit: 0.4

a = 2.7700 Å, b = 2.7700 Å, c = 2.7700 Å
α = 60.00°, β = 60.00°, γ = 60.00°
Element x y z (fractional)
1 Pd 0.0000 0.0000 0.0000

[13]
VASP calculation (r2SCAN) on a geometry-optimized Pd structure.

Symmetry: P6_3/mmc (194)
Energy in eV/cell: -91.782
Magnetic moment in μB per formula unit: 0.4

a = 2.7626 Å, b = 2.7626 Å, c = 9.1184 Å
α = 90.00°, β = 90.00°, γ = 120.00°
Element x y z (fractional)
1 Pd 0.0000 0.0000 0.0000
2 Pd 0.0000 0.0000 0.5000
3 Pd 0.3333 0.6667 0.2500
4 Pd 0.6667 0.3333 0.7500

[14]
VASP calculation (r2SCAN) on a geometry-optimized Pm2PdPt structure.

Symmetry: Fm-3m (225)
Energy in eV/cell: -137.560
Magnetic moment in μB per formula unit: 0.0

a = 5.0511 Å, b = 5.0511 Å, c = 5.0511 Å
α = 60.00°, β = 60.00°, γ = 60.00°
Element x y z (fractional)
1 Pm 0.2500 0.2500 0.2500
2 Pm 0.7500 0.7500 0.7500
3 Pd 0.0000 0.0000 0.0000
4 Pt 0.5000 0.5000 0.5000

[15]
VASP calculation (r2SCAN) on a geometry-optimized Pm2PdRh structure.

Symmetry: Fm-3m (225)
Energy in eV/cell: -109.327
Magnetic moment in μB per formula unit: 0.0

a = 5.0018 Å, b = 5.0018 Å, c = 5.0018 Å
α = 60.00°, β = 60.00°, γ = 60.00°
Element x y z (fractional)
1 Pm 0.2500 0.2500 0.2500
2 Pm 0.7500 0.7500 0.7500
3 Pd 0.0000 0.0000 0.0000
4 Rh 0.5000 0.5000 0.5000

[16]
VASP calculation (r2SCAN) on a geometry-optimized Pm2PdRu structure.

Symmetry: Fm-3m (225)
Energy in eV/cell: -109.495
Magnetic moment in μB per formula unit: 0.0

a = 4.9823 Å, b = 4.9823 Å, c = 4.9823 Å
α = 60.00°, β = 60.00°, γ = 60.00°
Element x y z (fractional)
1 Pm 0.2500 0.2500 0.2500
2 Pm 0.7500 0.7500 0.7500
3 Pd 0.0000 0.0000 0.0000
4 Ru 0.5000 0.5000 0.5000

[17]
VASP calculation (r2SCAN) on a geometry-optimized PmSbPd2 structure.

Symmetry: Fm-3m (225)
Energy in eV/cell: -104.639
Magnetic moment in μB per formula unit: 0.0

a = 4.8604 Å, b = 4.8604 Å, c = 4.8604 Å
α = 60.00°, β = 60.00°, γ = 60.00°
Element x y z (fractional)
1 Pm 0.0000 0.0000 0.0000
2 Sb 0.5000 0.5000 0.5000
3 Pd 0.2500 0.2500 0.2500
4 Pd 0.7500 0.7500 0.7500

[18]
VASP calculation (r2SCAN) on a geometry-optimized PmSnPd2 structure.

Symmetry: Fm-3m (225)
Energy in eV/cell: -103.517
Magnetic moment in μB per formula unit: 0.0

a = 4.8523 Å, b = 4.8523 Å, c = 4.8523 Å
α = 60.00°, β = 60.00°, γ = 60.00°
Element x y z (fractional)
1 Pm 0.0000 0.0000 0.0000
2 Sn 0.5000 0.5000 0.5000
3 Pd 0.2500 0.2500 0.2500
4 Pd 0.7500 0.7500 0.7500

[19]
VASP calculation (r2SCAN) on a geometry-optimized Pm2SnPd structure.

Symmetry: Fm-3m (225)
Energy in eV/cell: -109.842
Magnetic moment in μB per formula unit: 0.0

a = 5.2810 Å, b = 5.2810 Å, c = 5.2810 Å
α = 60.00°, β = 60.00°, γ = 60.00°
Element x y z (fractional)
1 Pm 0.2500 0.2500 0.2500
2 Pm 0.7500 0.7500 0.7500
3 Sn 0.0000 0.0000 0.0000
4 Pd 0.5000 0.5000 0.5000

[20]
VASP calculation (r2SCAN) on a geometry-optimized YbPmPd2 structure.

Symmetry: Fm-3m (225)
Energy in eV/cell: -115.539
Magnetic moment in μB per formula unit: 0.0

a = 4.9613 Å, b = 4.9613 Å, c = 4.9613 Å
α = 60.00°, β = 60.00°, γ = 60.00°
Element x y z (fractional)
1 Yb 0.0000 0.0000 0.0000
2 Pm 0.5000 0.5000 0.5000
3 Pd 0.2500 0.2500 0.2500
4 Pd 0.7500 0.7500 0.7500

[21]
VASP calculation (r2SCAN) on a geometry-optimized PrPd3 structure.

Symmetry: Pm-3m (221)
Energy in eV/cell: -101.387
Magnetic moment in μB per formula unit: 0.0

a = 4.1887 Å, b = 4.1887 Å, c = 4.1887 Å
α = 90.00°, β = 90.00°, γ = 90.00°
Element x y z (fractional)
1 Pr 0.0000 0.0000 0.0000
2 Pd 0.0000 0.5000 0.5000
3 Pd 0.5000 0.0000 0.5000
4 Pd 0.5000 0.5000 0.0000

[22]
VASP calculation (r2SCAN) on a geometry-optimized PrSb2Pd structure.

Symmetry: P4/nmm (129)
Energy in eV/cell: -215.001
Magnetic moment in μB per formula unit: 0.0

a = 4.5088 Å, b = 4.5088 Å, c = 9.9761 Å
α = 90.00°, β = 90.00°, γ = 90.00°
Element x y z (fractional)
1 Pr 0.2500 0.2500 0.2495
2 Pr 0.7500 0.7500 0.7505
3 Sb 0.2500 0.2500 0.8541
4 Sb 0.2500 0.7500 0.5000
5 Sb 0.7500 0.2500 0.5000
6 Sb 0.7500 0.7500 0.1459
7 Pd 0.2500 0.7500 0.0000
8 Pd 0.7500 0.2500 0.0000

[23]
VASP calculation (r2SCAN) on a geometry-optimized PrSbPd structure.

Symmetry: P6_3mc (186)
Energy in eV/cell: -163.291
Magnetic moment in μB per formula unit: 0.0

a = 4.6022 Å, b = 4.6022 Å, c = 8.0751 Å
α = 90.00°, β = 90.00°, γ = 120.00°
Element x y z (fractional)
1 Pr 0.0000 0.0000 0.0000
2 Pr 0.0000 0.0000 0.5000
3 Sb 0.3333 0.6667 0.2382
4 Sb 0.6667 0.3333 0.7382
5 Pd 0.3333 0.6667 0.7862
6 Pd 0.6667 0.3333 0.2862

[24]
VASP calculation (r2SCAN) on a geometry-optimized PrSbPd structure.

Symmetry: P6_3/mmc (194)
Energy in eV/cell: -163.268
Magnetic moment in μB per formula unit: 0.0

a = 4.5976 Å, b = 4.5976 Å, c = 8.1527 Å
α = 90.00°, β = 90.00°, γ = 120.00°
Element x y z (fractional)
1 Pr 0.0000 0.0000 0.0000
2 Pr 0.0000 0.0000 0.5000
3 Sb 0.3333 0.6667 0.2500
4 Sb 0.6667 0.3333 0.7500
5 Pd 0.3333 0.6667 0.7500
6 Pd 0.6667 0.3333 0.2500